Computed, not measured: a geometry-optimized KLi2FeO3 structure at the GGA+U level of DFT.

Lattice parameters (Å, degrees): 5.491 5.498 6.151 90.19 90.01 106.57
Sites, in units of the cell vectors:
K: 0.000 0.000 0.000
K: 0.357 0.353 0.497
Li: 0.442 0.898 0.750
Li: 0.454 0.908 0.249
Li: 0.906 0.442 0.745
Li: 0.911 0.448 0.245
Fe: 0.495 0.490 0.997
Fe: 0.866 0.859 0.498
O: 0.162 0.514 0.993
O: 0.198 0.835 0.496
O: 0.518 0.157 0.996
O: 0.679 0.674 0.247
O: 0.681 0.675 0.747
O: 0.845 0.193 0.492

Summary:
polymorph energy (0 for the lowest one)	0.40	kcal/mol of atoms

Computed, not measured: a geometry-optimized ZnCu3W4O16 structure at the GGA+U level of DFT.

Lattice parameters (Å, degrees): 4.767 5.005 11.899 87.36 83.97 86.48
Sites, in units of the cell vectors:
Zn: 0.000 0.000 0.000
Cu: 0.011 0.509 0.171
Cu: 0.017 0.515 0.669
Cu: 0.019 0.019 0.512
W: 0.504 0.017 0.257
W: 0.519 0.028 0.757
W: 0.521 0.513 0.426
W: 0.524 0.516 0.927
O: 0.247 0.673 0.533
O: 0.250 0.664 0.034
O: 0.260 0.185 0.164
O: 0.276 0.197 0.665
O: 0.296 0.197 0.401
O: 0.296 0.710 0.298
O: 0.307 0.205 0.899
O: 0.313 0.721 0.797
O: 0.726 0.821 0.389
O: 0.727 0.334 0.282
O: 0.739 0.829 0.891
O: 0.744 0.340 0.782
O: 0.764 0.345 0.019
O: 0.765 0.338 0.517
O: 0.779 0.853 0.154
O: 0.792 0.863 0.651

Computed, not measured: a geometry-optimized V2ZnO6 structure at the GGA+U level of DFT.

Lattice parameters (Å, degrees): 4.892 5.323 8.051 89.98 88.96 89.32
Sites, in units of the cell vectors:
V: 0.000 0.000 0.000
V: 0.044 0.001 0.544
V: 0.500 0.499 0.500
V: 0.544 0.501 0.045
Zn: 0.086 0.497 0.802
Zn: 0.586 0.999 0.302
O: 0.183 0.997 0.350
O: 0.232 0.734 0.993
O: 0.233 0.255 0.990
O: 0.233 0.726 0.622
O: 0.236 0.259 0.623
O: 0.379 0.496 0.308
O: 0.683 0.497 0.850
O: 0.732 0.232 0.493
O: 0.732 0.753 0.491
O: 0.734 0.762 0.123
O: 0.735 0.229 0.122
O: 0.879 0.997 0.808

Computed, not measured: a geometry-optimized KLaMo2O8 structure at the GGA+U level of DFT.

Lattice parameters (Å, degrees): 7.724 7.724 8.036 118.54 118.54 88.40
Sites, in units of the cell vectors:
K: 0.200 0.800 0.750
K: 0.800 0.200 0.250
La: 0.229 0.771 0.250
La: 0.771 0.229 0.750
Mo: 0.304 0.309 0.761
Mo: 0.309 0.304 0.261
Mo: 0.691 0.696 0.739
Mo: 0.696 0.691 0.239
O: 0.056 0.207 0.691
O: 0.076 0.384 0.133
O: 0.207 0.056 0.191
O: 0.234 0.386 0.565
O: 0.370 0.581 0.024
O: 0.384 0.076 0.633
O: 0.386 0.234 0.065
O: 0.419 0.630 0.476
O: 0.581 0.370 0.524
O: 0.614 0.766 0.935
O: 0.616 0.924 0.367
O: 0.630 0.419 0.976
O: 0.766 0.614 0.435
O: 0.793 0.944 0.809
O: 0.924 0.616 0.867
O: 0.944 0.793 0.309

Computed, not measured: a geometry-optimized Li3VPCO7 structure at the GGA+U level of DFT.

Lattice parameters (Å, degrees): 8.643 6.509 9.718 90.00 91.98 90.00
Sites, in units of the cell vectors:
Li: 0.112 0.250 0.116
Li: 0.112 0.250 0.616
Li: 0.293 0.020 0.380
Li: 0.293 0.480 0.880
Li: 0.372 0.745 0.114
Li: 0.372 0.755 0.614
Li: 0.628 0.245 0.386
Li: 0.628 0.255 0.886
Li: 0.707 0.520 0.120
Li: 0.707 0.980 0.620
Li: 0.888 0.750 0.384
Li: 0.888 0.750 0.884
V: 0.248 0.519 0.386
V: 0.248 0.981 0.886
V: 0.752 0.019 0.114
V: 0.752 0.481 0.614
P: 0.409 0.243 0.641
P: 0.409 0.257 0.141
P: 0.591 0.743 0.859
P: 0.591 0.757 0.359
C: 0.053 0.738 0.634
C: 0.053 0.762 0.134
C: 0.947 0.238 0.866
C: 0.947 0.262 0.366
O: 0.076 0.712 0.503
O: 0.076 0.788 0.003
O: 0.090 0.232 0.823
O: 0.090 0.268 0.323
O: 0.166 0.731 0.221
O: 0.166 0.769 0.721
O: 0.315 0.062 0.579
O: 0.315 0.438 0.079
O: 0.319 0.060 0.094
O: 0.319 0.440 0.594
O: 0.408 0.230 0.802
O: 0.408 0.270 0.302
O: 0.420 0.743 0.904
O: 0.420 0.757 0.404
O: 0.580 0.243 0.596
O: 0.580 0.257 0.096
O: 0.592 0.730 0.698
O: 0.592 0.770 0.198
O: 0.681 0.560 0.406
O: 0.681 0.940 0.906
O: 0.685 0.562 0.921
O: 0.685 0.938 0.421
O: 0.834 0.231 0.279
O: 0.834 0.269 0.779
O: 0.910 0.732 0.677
O: 0.910 0.768 0.177
O: 0.924 0.212 0.997
O: 0.924 0.288 0.497

Summary:
polymorph energy (0 for the lowest one)	0.49	kcal/mol of atoms

Computed, not measured: a geometry-optimized LiTiNiO4 structure at the GGA+U level of DFT.

Lattice parameters (Å, degrees): 5.843 10.025 5.843 103.91 118.13 76.09
Sites, in units of the cell vectors:
Li: 0.814 0.564 0.686
Li: 0.314 0.064 0.186
Li: 0.686 0.936 0.814
Li: 0.186 0.436 0.314
O: 0.109 0.130 0.391
O: 0.396 0.368 0.659
O: 0.341 0.868 0.604
O: 0.604 0.632 0.341
O: 0.121 0.641 0.379
O: 0.891 0.870 0.609
O: 0.659 0.132 0.396
O: 0.896 0.868 0.159
O: 0.621 0.141 0.879
O: 0.879 0.359 0.621
O: 0.841 0.368 0.104
O: 0.159 0.632 0.896
O: 0.379 0.859 0.121
O: 0.104 0.132 0.841
O: 0.391 0.370 0.109
O: 0.609 0.630 0.891
Ti: 0.000 0.000 0.500
Ti: 0.750 0.250 0.750
Ti: 0.250 0.750 0.250
Ti: 0.500 0.500 0.000
Ni: 0.250 0.750 0.750
Ni: 0.750 0.250 0.250
Ni: 0.250 0.250 0.750
Ni: 0.750 0.750 0.250

Summary:
polymorph energy (0 for the lowest one)	0.19	kcal/mol of atoms

Computed, not measured: a geometry-optimized PrEuZrFeO6 structure at the GGA+U level of DFT.

Lattice parameters (Å, degrees): 5.794 5.794 5.794 60.00 60.00 60.00
Sites, in units of the cell vectors:
Pr: 0.000 0.000 0.000
Eu: 0.500 0.500 0.500
Zr: 0.250 0.250 0.250
Fe: 0.750 0.750 0.750
O: 0.504 0.504 0.996
O: 0.504 0.996 0.504
O: 0.504 0.996 0.996
O: 0.996 0.504 0.504
O: 0.996 0.504 0.996
O: 0.996 0.996 0.504

Computed, not measured: a geometry-optimized KSmW2O8 structure at the GGA+U level of DFT.

Lattice parameters (Å, degrees): 5.262 18.672 8.267 90.00 90.00 90.00
Sites, in units of the cell vectors:
K: 0.000 0.230 0.250
K: 0.000 0.770 0.750
K: 0.500 0.270 0.750
K: 0.500 0.730 0.250
Sm: 0.000 0.007 0.750
Sm: 0.000 0.993 0.250
Sm: 0.500 0.493 0.250
Sm: 0.500 0.507 0.750
W: 0.022 0.399 0.517
W: 0.022 0.601 0.017
W: 0.478 0.101 0.017
W: 0.478 0.899 0.517
W: 0.522 0.101 0.483
W: 0.522 0.899 0.983
W: 0.978 0.399 0.983
W: 0.978 0.601 0.483
O: 0.101 0.311 0.976
O: 0.101 0.689 0.476
O: 0.227 0.401 0.340
O: 0.227 0.599 0.840
O: 0.242 0.407 0.690
O: 0.242 0.593 0.190
O: 0.246 0.465 0.004
O: 0.246 0.535 0.504
O: 0.254 0.035 0.504
O: 0.254 0.965 0.004
O: 0.258 0.093 0.190
O: 0.258 0.907 0.690
O: 0.273 0.099 0.840
O: 0.273 0.901 0.340
O: 0.399 0.189 0.476
O: 0.399 0.811 0.976
O: 0.601 0.189 0.024
O: 0.601 0.811 0.524
O: 0.727 0.099 0.660
O: 0.727 0.901 0.160
O: 0.742 0.093 0.310
O: 0.742 0.907 0.810
O: 0.746 0.035 0.996
O: 0.746 0.965 0.496
O: 0.754 0.465 0.496
O: 0.754 0.535 0.996
O: 0.758 0.407 0.810
O: 0.758 0.593 0.310
O: 0.773 0.401 0.160
O: 0.773 0.599 0.660
O: 0.899 0.311 0.524
O: 0.899 0.689 0.024

Number 1: formation energy from the elements -1.83 eV per atom. Number 2: formation energy from the elements -1.79 eV per atom. Number 3: formation energy from the elements -2.12 eV per atom. Number 4: formation energy from the elements -2.53 eV per atom. Number 5: formation energy from the elements -2.41 eV per atom. Number 6: formation energy from the elements -2.33 eV per atom. Number 7: formation energy from the elements -3.05 eV per atom. Number 8: formation energy from the elements -2.62 eV per atom.